# 1
# Li4Fe3Sb5O16 (GGA+U, optimized geometry)
data_Li4Fe3Sb5O16
_symmetry_space_group_name_H-M 'P 1'
_symmetry_Int_Tables_number 1
_symmetry_space_group_name_Hall 'P 1'
_cell_length_a 6.3017
_cell_length_b 6.3017
_cell_length_c 10.3938
_cell_angle_alpha 89.73
_cell_angle_beta 89.73
_cell_angle_gamma 59.30
loop_
_atom_site_label
_atom_site_fract_x
_atom_site_fract_y
_atom_site_fract_z
_atom_site_occupancy
O1 0.3240 0.3240 0.3914 1
Li1 0.9942 0.9942 0.0103 1
O2 0.6568 0.6568 0.8930 1
O3 0.4810 0.0317 0.1680 1
Sb1 0.3330 0.8305 0.7839 1
O4 0.1467 0.1467 0.8916 1
O5 0.8476 0.8476 0.3993 1
Li2 0.3201 0.3201 0.5999 1
O6 0.0041 0.0041 0.6792 1
Li3 0.9990 0.9990 0.4978 1
Sb2 0.8305 0.3330 0.7839 1
O7 0.4804 0.4804 0.1637 1
Fe1 0.6657 0.1715 0.2861 1
Sb3 0.6801 0.6801 0.4904 1
O8 0.9680 0.5028 0.6781 1
Fe2 0.1715 0.6657 0.2861 1
O9 0.1569 0.7042 0.8940 1
Li4 0.6610 0.6610 0.1097 1
O10 0.5050 0.5050 0.6808 1
O11 0.3132 0.8552 0.3921 1
O12 0.5028 0.9680 0.6781 1
O13 0.7042 0.1569 0.8940 1
O14 0.8552 0.3132 0.3921 1
O15 0.0317 0.4810 0.1680 1
Sb4 0.1707 0.1707 0.2821 1
Fe3 0.8306 0.8306 0.7866 1
O16 0.0083 0.0083 0.1893 1
Sb5 0.3449 0.3449 0.0228 1
# Formation energy (meV per atom): -1887.8
# Energy relative to the lowest polymorph listed for this composition (meV per atom): 19

***

# 2
# Li2Fe3SbO8 (GGA+U, optimized geometry)
data_Li2Fe3SbO8
_symmetry_space_group_name_H-M 'P 1'
_symmetry_Int_Tables_number 1
_symmetry_space_group_name_Hall 'P 1'
_cell_length_a 8.6072
_cell_length_b 8.6072
_cell_length_c 8.6072
_cell_angle_alpha 90.00
_cell_angle_beta 90.00
_cell_angle_gamma 90.00
loop_
_atom_site_label
_atom_site_fract_x
_atom_site_fract_y
_atom_site_fract_z
_atom_site_occupancy
O1 0.1165 0.6165 0.8835 1
O2 0.8862 0.6097 0.1137 1
O3 0.8637 0.1403 0.1362 1
O4 0.6362 0.6363 0.8597 1
O5 0.6137 0.6138 0.3903 1
Sb1 0.1250 0.8750 0.3750 1
O6 0.1138 0.1097 0.3863 1
Fe1 0.8837 0.6337 0.8750 1
Fe2 0.6250 0.1163 0.1337 1
Li1 0.2516 0.7516 0.7484 1
O7 0.6335 0.1335 0.3665 1
Fe3 0.1163 0.1337 0.6250 1
Fe4 0.8663 0.1250 0.3837 1
Fe5 0.8750 0.8837 0.6337 1
O8 0.3665 0.6335 0.1335 1
Fe6 0.3663 0.3750 0.6163 1
O9 0.1403 0.1362 0.8637 1
O10 0.8665 0.8665 0.8665 1
Fe7 0.1250 0.3837 0.8663 1
O11 0.8597 0.6362 0.6363 1
O12 0.3637 0.3597 0.8638 1
Fe8 0.6337 0.8750 0.8837 1
O13 0.8863 0.3862 0.8903 1
O14 0.6363 0.8597 0.6362 1
Li2 0.5016 0.4984 0.9984 1
O15 0.3835 0.3835 0.3835 1
Sb2 0.8750 0.3750 0.1250 1
O16 0.6097 0.1137 0.8862 1
O17 0.3863 0.1138 0.1097 1
Li3 0.9984 0.5016 0.4984 1
Li4 0.4984 0.9984 0.5016 1
O18 0.1137 0.8862 0.6097 1
O19 0.8835 0.1165 0.6165 1
O20 0.6165 0.8835 0.1165 1
O21 0.3638 0.1363 0.6403 1
O22 0.6403 0.3638 0.1363 1
O23 0.1335 0.3665 0.6335 1
Fe9 0.3837 0.8663 0.1250 1
Sb3 0.6250 0.6250 0.6250 1
O24 0.8903 0.8863 0.3862 1
O25 0.1362 0.8637 0.1403 1
O26 0.1363 0.6403 0.3638 1
O27 0.6138 0.3903 0.6137 1
O28 0.3903 0.6137 0.6138 1
Sb4 0.3750 0.1250 0.8750 1
Li5 0.2484 0.2484 0.2484 1
Fe10 0.1337 0.6250 0.1163 1
O29 0.8638 0.3637 0.3597 1
O30 0.1097 0.3863 0.1138 1
O31 0.3862 0.8903 0.8863 1
Fe11 0.3750 0.6163 0.3663 1
Fe12 0.6163 0.3663 0.3750 1
Li6 0.7516 0.7484 0.2516 1
Li7 0.0016 0.0016 0.0016 1
O32 0.3597 0.8638 0.3637 1
Li8 0.7484 0.2516 0.7516 1
# Formation energy (meV per atom): -1926.8
# Energy relative to the lowest polymorph listed for this composition (meV per atom): 2

***

# 3
# Li2Fe2SbO6 (GGA+U, optimized geometry)
data_Li2Fe2SbO6
_symmetry_space_group_name_H-M 'P 1'
_symmetry_Int_Tables_number 1
_symmetry_space_group_name_Hall 'P 1'
_cell_length_a 5.2980
_cell_length_b 5.2980
_cell_length_c 10.2301
_cell_angle_alpha 90.00
_cell_angle_beta 90.00
_cell_angle_gamma 119.26
loop_
_atom_site_label
_atom_site_fract_x
_atom_site_fract_y
_atom_site_fract_z
_atom_site_occupancy
Sb1 0.0000 0.0000 0.0000 1
O1 0.8203 0.4880 0.6083 1
Li1 0.8647 0.3647 0.2500 1
Fe1 0.6573 0.3427 0.0000 1
O2 0.1797 0.5120 0.3917 1
Li2 0.6353 0.1353 0.7500 1
Li3 0.1353 0.6353 0.7500 1
O3 0.5120 0.1797 0.3917 1
O4 0.4880 0.8203 0.6083 1
O5 0.6797 0.0120 0.1083 1
O6 0.3136 0.3136 0.1043 1
O7 0.6864 0.6864 0.8957 1
O8 0.8136 0.8136 0.3957 1
Fe2 0.1573 0.8427 0.5000 1
O9 0.9880 0.3203 0.8917 1
Sb2 0.5000 0.5000 0.5000 1
O10 0.3203 0.9880 0.8917 1
Fe3 0.3427 0.6573 0.0000 1
Li4 0.3647 0.8647 0.2500 1
O11 0.1864 0.1864 0.6043 1
O12 0.0120 0.6797 0.1083 1
Fe4 0.8427 0.1573 0.5000 1
# Formation energy (meV per atom): -1846.9

***

# 4
# Li6Fe5SbO12 (GGA+U, optimized geometry)
data_Li6Fe5SbO12
_symmetry_space_group_name_H-M 'P 1'
_symmetry_Int_Tables_number 1
_symmetry_space_group_name_Hall 'P 1'
_cell_length_a 5.3116
_cell_length_b 5.3116
_cell_length_c 10.4749
_cell_angle_alpha 86.11
_cell_angle_beta 86.11
_cell_angle_gamma 120.20
loop_
_atom_site_label
_atom_site_fract_x
_atom_site_fract_y
_atom_site_fract_z
_atom_site_occupancy
Fe1 0.8303 0.1697 0.5000 1
O1 0.1762 0.5271 0.3873 1
Li1 0.7795 0.7795 0.7111 1
O2 0.8672 0.8672 0.3918 1
Li2 0.4476 0.1169 0.7160 1
O3 0.0310 0.3500 0.8979 1
Li3 0.2205 0.2205 0.2889 1
O4 0.5271 0.1762 0.3873 1
Li4 0.8831 0.5524 0.2840 1
O5 0.3500 0.0310 0.8979 1
O6 0.7115 0.7115 0.8928 1
Fe2 0.6614 0.3386 0.0000 1
O7 0.8238 0.4729 0.6127 1
Fe3 0.1697 0.8303 0.5000 1
Li5 0.1169 0.4476 0.7160 1
O8 0.9690 0.6500 0.1021 1
Sb1 0.0000 0.0000 0.0000 1
Li6 0.5524 0.8831 0.2840 1
O9 0.6500 0.9690 0.1021 1
O10 0.4729 0.8238 0.6127 1
O11 0.2885 0.2885 0.1072 1
Fe4 0.3386 0.6614 0.0000 1
O12 0.1328 0.1328 0.6082 1
Fe5 0.5000 0.5000 0.5000 1
# Formation energy (meV per atom): -1931.2